Entry 1:
The following is a DFT calculation (GGA-PBE) of a relaxed ZnBr2N2 crystal.

Summary:
**Calculated total energy**: -52.5 eV/cell
**Corrected total energy (MP2020 scheme)**: -2.767 eV/atom
**Total moment**: 6.0 μB per formula unit

Lattice parameters (Å, degrees): 8.330 8.422 7.845 90.00 90.00 90.00
Space group Imma (No. 74)
Unique sites:
Zn (0.000, 0.250, 0.132) [4 per cell]
Br (0.000, 0.002, 0.744) [8 per cell]
N (0.209, 0.250, 0.984) [8 per cell]

=====

Entry 2:
The following is a DFT calculation (GGA-PBE) of a relaxed KRb2GdCl6 crystal.

Summary:
**Calculated total energy**: -196.7 eV/cell
**Corrected total energy (MP2020 scheme)**: -5.285 eV/atom
**Total moment**: 7.0 μB per formula unit

Lattice parameters (Å, degrees): 11.330 11.330 11.330 90.00 90.00 90.00
Space group Fm-3m (No. 225)
Unique sites:
K (0.000, 0.000, 0.000) [4 per cell]
Rb (0.250, 0.250, 0.250) [8 per cell]
Gd (0.000, 0.000, 0.500) [4 per cell]
Cl (0.000, 0.000, 0.265) [24 per cell]

=====

Entry 3:
The following is a DFT calculation (GGA-PBE) of a relaxed MgSi2 crystal.

Summary:
**Distance to the lowest polymorph of the same formula**: 89 meV/atom
**Calculated total energy**: -48.4 eV/cell
**Corrected total energy (MP2020 scheme)**: -3.983 eV/atom
**Total moment**: 0.0 μB per formula unit

Lattice parameters (Å, degrees): 5.367 5.564 8.502 74.11 78.61 65.84
Space group P1 (No. 1)
Unique sites:
Mg (0.000, 0.000, 0.000) [1 per cell]
Mg (0.110, 0.388, 0.648) [1 per cell]
Mg (0.399, 0.398, 0.958) [1 per cell]
Mg (0.614, 0.366, 0.298) [1 per cell]
Si (0.048, 0.959, 0.468) [1 per cell]
Si (0.148, 0.332, 0.295) [1 per cell]
Si (0.481, 0.877, 0.796) [1 per cell]
Si (0.487, 0.663, 0.585) [1 per cell]
Si (0.535, 0.886, 0.131) [1 per cell]
Si (0.717, 0.174, 0.672) [1 per cell]
Si (0.818, 0.745, 0.363) [1 per cell]
Si (0.843, 0.554, 0.973) [1 per cell]

=====

Entry 4:
The following is a DFT calculation (GGA-PBE) of a relaxed Ca4SeN4 crystal.

Summary:
**Distance to the lowest polymorph of the same formula**: 0 meV/atom
**Calculated total energy**: -211.9 eV/cell
**Corrected total energy (MP2020 scheme)**: -6.047 eV/atom

Lattice parameters (Å, degrees): 12.968 3.649 13.470 90.00 90.00 90.00
Space group Pnma (No. 62)
Unique sites:
Ca (0.008, 0.250, 0.116) [4 per cell]
Ca (0.040, 0.750, 0.368) [4 per cell]
Ca (0.233, 0.750, 0.968) [4 per cell]
Ca (0.241, 0.250, 0.741) [4 per cell]
Se (0.134, 0.750, 0.588) [4 per cell]
N (0.093, 0.250, 0.968) [4 per cell]
N (0.110, 0.250, 0.251) [4 per cell]
N (0.132, 0.250, 0.877) [4 per cell]
N (0.167, 0.250, 0.334) [4 per cell]

=====

Entry 5:
The following is a DFT calculation (GGA-PBE) of a relaxed Tb7MnBr12 crystal.

Summary:
**Calculated total energy**: -275.2 eV/cell
**Corrected total energy (MP2020 scheme)**: -4.908 eV/atom

Lattice parameters (Å, degrees): 14.8537 14.8537 10.4005 90.00 90.00 120.00
Space group R-3 (No. 148, hexagonal axes)
Unique sites:
Tb (0.0000, 0.0000, 0.0000) [3 per cell]
Tb (0.0433, 0.1629, 0.3595) [18 per cell]
Mn (0.0000, 0.0000, 0.5000) [3 per cell]
Br (0.0224, 0.5875, 0.1568) [18 per cell]
Br (0.0474, 0.1719, 0.8372) [18 per cell]

=====

Entry 6:
The following is a DFT calculation (GGA-PBE) of a relaxed HoBO3 crystal.

Summary:
**Calculated total energy**: -37.5 eV/cell
**Corrected total energy (MP2020 scheme)**: -7.910 eV/atom
**Total moment**: 0.0 μB per formula unit

Lattice parameters (Å, degrees): 3.473 3.473 3.473 90.00 90.00 90.00
Space group Pm-3m (No. 221)
Unique sites:
Ho (0.000, 0.000, 0.000) [1 per cell]
B (0.500, 0.500, 0.500) [1 per cell]
O (0.000, 0.500, 0.500) [3 per cell]

=====

Entry 7:
The following is a DFT calculation (GGA-PBE) of a relaxed TmB4Rh4 crystal.

Summary:
**Distance to the lowest polymorph of the same formula**: 0 meV/atom
**Calculated total energy**: -790.6 eV/cell
**Total moment**: 0.0 μB per formula unit

Lattice parameters (Å, degrees): 7.522 22.354 7.521 90.00 90.00 90.00
Space group Ccce (No. 68, origin choice 2)
Unique sites:
Tm (0.000, 0.084, 0.250) [8 per cell]
Tm (0.000, 0.250, 0.750) [4 per cell]
B (0.135, 0.139, 0.576) [16 per cell]
B (0.143, 0.196, 0.413) [16 per cell]
B (0.171, 0.029, 0.889) [16 per cell]
Rh (0.116, 0.041, 0.595) [16 per cell]
Rh (0.151, 0.208, 0.124) [16 per cell]
Rh (0.154, 0.125, 0.863) [16 per cell]

=====

Entry 8:
The following is a DFT calculation (GGA-PBE) of a relaxed Cs2InGaF6 crystal.

Summary:
**Calculated total energy**: -174.9 eV/cell
**Corrected total energy (MP2020 scheme)**: -4.650 eV/atom
**Total moment**: 0.0 μB per formula unit

Lattice parameters (Å, degrees): 9.364 9.364 9.364 90.00 90.00 90.00
Space group Fm-3m (No. 225)
Unique sites:
Cs (0.250, 0.250, 0.250) [8 per cell]
In (0.000, 0.000, 0.000) [4 per cell]
Ga (0.000, 0.000, 0.500) [4 per cell]
F (0.000, 0.000, 0.227) [24 per cell]

=====

Entry 9:
The following is a DFT calculation (GGA-PBE) of a relaxed Mg7Si4 crystal.

Summary:
**Distance to the lowest polymorph of the same formula**: 56 meV/atom
**Calculated total energy**: -64.0 eV/cell
**Corrected total energy (MP2020 scheme)**: -2.885 eV/atom
**Total moment**: 0.0 μB per formula unit

Lattice parameters (Å, degrees): 5.112 5.946 14.321 93.85 99.35 90.24
Space group P1 (No. 1)
Unique sites:
Mg (0.000, 0.000, 0.000) [1 per cell]
Mg (0.001, 0.501, 0.022) [1 per cell]
Mg (0.069, 0.946, 0.687) [1 per cell]
Mg (0.358, 0.533, 0.349) [1 per cell]
Mg (0.372, 0.030, 0.350) [1 per cell]
Mg (0.422, 0.477, 0.751) [1 per cell]
Mg (0.445, 0.295, 0.553) [1 per cell]
Mg (0.471, 0.743, 0.941) [1 per cell]
Mg (0.473, 0.238, 0.936) [1 per cell]
Mg (0.511, 0.801, 0.573) [1 per cell]
Mg (0.552, 0.524, 0.148) [1 per cell]
Mg (0.595, 0.024, 0.148) [1 per cell]
Mg (0.916, 0.078, 0.476) [1 per cell]
Mg (0.962, 0.583, 0.491) [1 per cell]
Si (0.102, 0.808, 0.182) [1 per cell]
Si (0.110, 0.239, 0.184) [1 per cell]
Si (0.611, 0.962, 0.773) [1 per cell]
Si (0.836, 0.331, 0.311) [1 per cell]
Si (0.845, 0.765, 0.313) [1 per cell]
Si (0.903, 0.430, 0.667) [1 per cell]
Si (0.939, 0.677, 0.835) [1 per cell]
Si (0.948, 0.262, 0.834) [1 per cell]

=====

Entry 10:
The following is a DFT calculation (GGA-PBE) of a relaxed Na2Te2O5 crystal.

Summary:
**Calculated total energy**: -367.7 eV/cell
**Corrected total energy (MP2020 scheme)**: -5.489 eV/atom

Lattice parameters (Å, degrees): 23.908 4.976 9.971 90.00 102.86 90.00
Space group C2/c (No. 15)
Unique sites:
Na (0.052, 0.012, 0.412) [8 per cell]
Na (0.171, 0.010, 0.706) [8 per cell]
Te (0.059, 0.489, 0.180) [8 per cell]
Te (0.189, 0.405, 0.453) [8 per cell]
O (0.045, 0.478, 0.862) [8 per cell]
O (0.052, 0.115, 0.155) [8 per cell]
O (0.145, 0.493, 0.250) [8 per cell]
O (0.148, 0.092, 0.463) [8 per cell]
O (0.246, 0.248, 0.366) [8 per cell]

=====

Entry 11:
The following is a DFT calculation (GGA-PBE) of a relaxed K3TaF6 crystal.

Summary:
**Calculated total energy**: -211.6 eV/cell
**Corrected total energy (MP2020 scheme)**: -5.568 eV/atom
**Total moment**: 1.9 μB per formula unit

Lattice parameters (Å, degrees): 9.223 9.223 9.223 90.00 90.00 90.00
Space group Fm-3m (No. 225)
Unique sites:
K (0.000, 0.000, 0.000) [4 per cell]
K (0.250, 0.250, 0.250) [8 per cell]
Ta (0.000, 0.000, 0.500) [4 per cell]
F (0.000, 0.000, 0.275) [24 per cell]

=====

Entry 12:
The following is a DFT calculation (GGA-PBE) of a relaxed Er2Al3Cu crystal.

Summary:
**Calculated total energy**: -81.7 eV/cell
**Total moment**: 0.0 μB per formula unit

Lattice parameters (Å, degrees): 5.4888 5.4888 13.0296 90.00 90.00 120.00
Space group R-3m (No. 166, hexagonal axes)
Unique sites:
Er (0.0000, 0.0000, 0.1238) [6 per cell]
Al (0.0000, 0.5000, 0.0000) [9 per cell]
Cu (0.0000, 0.0000, 0.5000) [3 per cell]

=====

Entry 13:
The following is a DFT calculation (GGA-PBE) of a relaxed CeMg14Bi crystal.

Summary:
**Distance to the lowest polymorph of the same formula**: 45 meV/atom
**Calculated total energy**: -31.9 eV/cell
**Total moment**: 1.7 μB per formula unit

Lattice parameters (Å, degrees): 6.5533 6.5533 10.7843 90.00 90.00 120.00
Space group P-6m2 (No. 187)
Unique sites:
Ce (0.0000, 0.0000, 0.0000) [1 per cell]
Mg (0.0087, 0.5043, 0.0000) [3 per cell]
Mg (0.1675, 0.3350, 0.2498) [6 per cell]
Mg (0.5018, 0.0037, 0.5000) [3 per cell]
Mg (0.6667, 0.3333, 0.2428) [2 per cell]
Bi (0.0000, 0.0000, 0.5000) [1 per cell]

=====

Entry 14:
The following is a DFT calculation (GGA-PBE) of a relaxed BaGaSnH crystal.

Summary:
**Calculated total energy**: -14.3 eV/cell
**Corrected total energy (MP2020 scheme)**: -3.629 eV/atom
**Total moment**: 0.0 μB per formula unit

Lattice parameters (Å, degrees): 4.6093 4.6093 5.3981 90.00 90.00 120.00
Space group P3m1 (No. 156)
Unique sites:
Ba (0.0000, 0.0000, 0.0000) [1 per cell]
Ga (0.6667, 0.3333, 0.4134) [1 per cell]
Sn (0.3333, 0.6667, 0.5409) [1 per cell]
H (0.6667, 0.3333, 0.0900) [1 per cell]

=====

Entry 15:
The following is a DFT calculation (GGA-PBE) of a relaxed EuEr2O4 crystal.

Summary:
**Calculated total energy**: -251.3 eV/cell
**Corrected total energy (MP2020 scheme)**: -9.368 eV/atom
**Total moment**: 7.0 μB per formula unit

Lattice parameters (Å, degrees): 9.989 3.385 11.870 90.00 90.00 90.00
Space group Pnma (No. 62)
Unique sites:
Eu (0.248, 0.250, 0.149) [4 per cell]
Er (0.076, 0.250, 0.889) [4 per cell]
Er (0.078, 0.250, 0.388) [4 per cell]
O (0.014, 0.750, 0.784) [4 per cell]
O (0.076, 0.250, 0.578) [4 per cell]
O (0.127, 0.750, 0.020) [4 per cell]
O (0.212, 0.750, 0.325) [4 per cell]

=====

Entry 16:
The following is a DFT calculation (GGA-PBE) of a relaxed CeAl6Pd crystal.

Summary:
**Calculated total energy**: -37.3 eV/cell

Lattice parameters (Å, degrees): 4.293 4.293 8.315 90.00 90.00 90.00
Space group P4/mmm (No. 123)
Unique sites:
Ce (0.000, 0.000, 0.000) [1 per cell]
Al (0.000, 0.500, 0.331) [4 per cell]
Al (0.500, 0.500, 0.147) [2 per cell]
Pd (0.000, 0.000, 0.500) [1 per cell]

=====

Entry 17:
The following is a DFT calculation (GGA-PBE) of a relaxed Ti3In3Rh2 crystal.

Summary:
**Calculated total energy**: -50.3 eV/cell

Lattice parameters (Å, degrees): 7.3485 7.3485 3.0826 90.00 90.00 120.00
Space group P-62m (No. 189)
Unique sites:
Ti (0.0000, 0.4174, 0.0000) [3 per cell]
In (0.0000, 0.7628, 0.5000) [3 per cell]
Rh (0.3333, 0.6667, 0.5000) [2 per cell]

=====

no.,E_form (eV/atom)
1,1.47
2,-2.46
3,0.17
4,-1.06
5,-1.85
6,-2.69
7,-0.58
8,-2.74
9,0.11
10,-1.75
11,-2.90
12,-0.46
13,0.02
14,-0.54
15,-3.77
16,-0.46
17,-0.46